Compound: Sr3GaSb3
Source: the Materials Project
Functional: PBE
Structure: optimized geometry

The calculation puts the electronic total energy at -3.795 eV/atom. The calculation puts the formation energy at -951 meV per atom.

a = 11.837 Å, b = 14.784 Å, c = 13.612 Å
α = 90.00°, β = 124.98°, γ = 90.00°
Sites, in units of the cell vectors:
Sr (0.077, 0.067, 0.164)
Sr (0.077, 0.433, 0.664)
Sr (0.137, 0.750, 0.158)
Sr (0.137, 0.750, 0.658)
Sr (0.139, 0.071, 0.682)
Sr (0.139, 0.429, 0.182)
Sr (0.350, 0.575, 0.023)
Sr (0.350, 0.925, 0.523)
Sr (0.382, 0.595, 0.538)
Sr (0.382, 0.905, 0.038)
Sr (0.404, 0.217, 0.591)
Sr (0.404, 0.283, 0.091)
Sr (0.596, 0.717, 0.909)
Sr (0.596, 0.783, 0.409)
Sr (0.618, 0.095, 0.962)
Sr (0.618, 0.405, 0.462)
Sr (0.650, 0.075, 0.477)
Sr (0.650, 0.425, 0.977)
Sr (0.861, 0.571, 0.818)
Sr (0.861, 0.929, 0.318)
Sr (0.863, 0.250, 0.342)
Sr (0.863, 0.250, 0.842)
Sr (0.923, 0.567, 0.336)
Sr (0.923, 0.933, 0.836)
Ga (0.130, 0.245, 0.322)
Ga (0.130, 0.255, 0.822)
Ga (0.372, 0.091, 0.188)
Ga (0.372, 0.409, 0.688)
Ga (0.628, 0.591, 0.312)
Ga (0.628, 0.909, 0.812)
Ga (0.870, 0.745, 0.178)
Ga (0.870, 0.755, 0.678)
Sb (0.110, 0.741, 0.899)
Sb (0.110, 0.759, 0.399)
Sb (0.115, 0.090, 0.426)
Sb (0.115, 0.410, 0.926)
Sb (0.155, 0.099, 0.950)
Sb (0.155, 0.401, 0.450)
Sb (0.350, 0.567, 0.774)
Sb (0.350, 0.933, 0.274)
Sb (0.367, 0.238, 0.321)
Sb (0.367, 0.262, 0.821)
Sb (0.391, 0.594, 0.296)
Sb (0.391, 0.906, 0.796)
Sb (0.609, 0.094, 0.204)
Sb (0.609, 0.406, 0.704)
Sb (0.633, 0.738, 0.179)
Sb (0.633, 0.762, 0.679)
Sb (0.650, 0.067, 0.726)
Sb (0.650, 0.433, 0.226)
Sb (0.845, 0.599, 0.550)
Sb (0.845, 0.901, 0.050)
Sb (0.885, 0.590, 0.074)
Sb (0.885, 0.910, 0.574)
Sb (0.890, 0.241, 0.601)
Sb (0.890, 0.259, 0.101)